# 1
# YF3

A relaxed structure of YF3 (PBE, the Materials Project).

## Properties
E ... -7.0923 eV per atom
SG ... P-3c1
Energy relative to the elements ... -423 kJ/mol of atoms

a = 6.8576 Å, b = 6.8576 Å, c = 7.0250 Å
α = 90.00°, β = 90.00°, γ = 120.00°
Last column: nearest neighbours and their distance in Å.
Positions (direct):
F 0.3740 0.3064 0.0781  3 Y 2.34-2.50, 5 F 2.54-2.61
F 0.6936 0.0676 0.0781  3 Y 2.34-2.50, 5 F 2.54-2.61
F 0.0000 0.0000 0.2500  3 Y 2.37
F 0.6667 0.3333 0.8139  3 Y 2.29, 3 F 2.54
F 0.0676 0.6936 0.4219  3 Y 2.34-2.50, 5 F 2.54-2.61
F 0.3333 0.6667 0.6861  3 Y 2.29, 3 F 2.54
F 0.3064 0.3740 0.4219  3 Y 2.34-2.50, 5 F 2.54-2.61
F 0.6936 0.6260 0.5781  3 Y 2.34-2.50, 5 F 2.54-2.61
F 0.6260 0.6936 0.9219  3 Y 2.34-2.50, 5 F 2.54-2.61
F 0.0000 0.0000 0.7500  3 Y 2.37
F 0.6260 0.9324 0.4219  3 Y 2.34-2.50, 5 F 2.54-2.61
F 0.3333 0.6667 0.1861  3 Y 2.29, 3 F 2.54
F 0.3740 0.0676 0.5781  3 Y 2.34-2.50, 5 F 2.54-2.61
F 0.9324 0.3064 0.5781  3 Y 2.34-2.50, 5 F 2.54-2.61
F 0.6667 0.3333 0.3139  3 Y 2.29, 3 F 2.54
F 0.0676 0.3740 0.9219  3 Y 2.34-2.50, 5 F 2.54-2.61
F 0.9324 0.6260 0.0781  3 Y 2.34-2.50, 5 F 2.54-2.61
F 0.3064 0.9324 0.9219  3 Y 2.34-2.50, 5 F 2.54-2.61
Y 0.3452 0.3452 0.7500  9 F 2.29-2.50
Y 0.0000 0.3452 0.2500  9 F 2.29-2.50
Y 0.3452 0.0000 0.2500  9 F 2.29-2.50
Y 0.6548 0.0000 0.7500  9 F 2.29-2.50
Y 0.0000 0.6548 0.7500  9 F 2.29-2.50
Y 0.6548 0.6548 0.2500  9 F 2.29-2.50

---

# 2
# YF3

A relaxed structure of YF3 (PBE, the Materials Project).

## Properties
E ... -6.9312 eV per atom
SG ... Pm-3m
Magnetization ... 0.000 μB/cell
Energy relative to the elements ... -408 kJ/mol of atoms

a = 5.3853 Å, b = 5.3853 Å, c = 5.3853 Å
α = 90.00°, β = 90.00°, γ = 90.00°
Last column: nearest neighbours and their distance in Å.
Positions (direct):
F 0.5000 0.5000 0.5000  8 F 2.40
F 0.2425 0.7575 0.7575  3 Y 2.36, 4 F 2.40-2.61
F 0.7575 0.7575 0.7575  3 Y 2.36, 4 F 2.40-2.61
F 0.7575 0.7575 0.2425  3 Y 2.36, 4 F 2.40-2.61
F 0.2425 0.2425 0.7575  3 Y 2.36, 4 F 2.40-2.61
F 0.7575 0.2425 0.2425  3 Y 2.36, 4 F 2.40-2.61
F 0.2425 0.7575 0.2425  3 Y 2.36, 4 F 2.40-2.61
F 0.7575 0.2425 0.7575  3 Y 2.36, 4 F 2.40-2.61
F 0.2425 0.2425 0.2425  3 Y 2.36, 4 F 2.40-2.61
Y 0.5000 0.5000 0.0000  8 F 2.36
Y 0.0000 0.5000 0.5000  8 F 2.36
Y 0.5000 0.0000 0.5000  8 F 2.36

---

# 3
# YF3

A relaxed structure of YF3 (PBE, the Materials Project).

## Properties
E ... -7.1317 eV per atom
SG ... Pnma
Energy relative to the elements ... -427 kJ/mol of atoms

a = 4.6070 Å, b = 6.3287 Å, c = 6.9564 Å
α = 90.00°, β = 90.00°, γ = 90.00°
Last column: nearest neighbours and their distance in Å.
Positions (direct):
F 0.1379 0.6629 0.0635  3 Y 2.32-2.35, 2 F 2.58-2.59
F 0.1095 0.9710 0.7500  2 Y 2.25-2.27
F 0.8621 0.3371 0.5635  3 Y 2.32-2.35, 2 F 2.58-2.59
F 0.6379 0.8371 0.9365  3 Y 2.32-2.35, 2 F 2.58-2.59
F 0.8621 0.3371 0.9365  3 Y 2.32-2.35, 2 F 2.58-2.59
F 0.1379 0.6629 0.4365  3 Y 2.32-2.35, 2 F 2.58-2.59
F 0.6095 0.5290 0.2500  2 Y 2.25-2.27
F 0.8905 0.0290 0.2500  2 Y 2.25-2.27
F 0.6379 0.8371 0.5635  3 Y 2.32-2.35, 2 F 2.58-2.59
F 0.3621 0.1629 0.4365  3 Y 2.32-2.35, 2 F 2.58-2.59
F 0.3905 0.4710 0.7500  2 Y 2.25-2.27
F 0.3621 0.1629 0.0635  3 Y 2.32-2.35, 2 F 2.58-2.59
Y 0.9517 0.6338 0.7500  8 F 2.25-2.35
Y 0.4517 0.8662 0.2500  8 F 2.25-2.35
Y 0.0483 0.3662 0.2500  8 F 2.25-2.35
Y 0.5483 0.1338 0.7500  8 F 2.25-2.35

---

# 4
# YZrF7

A relaxed structure of YZrF7 (PBE, the Materials Project).

## Properties
E ... -7.0135 eV per atom
SG ... P2_1
Energy relative to the elements ... -407 kJ/mol of atoms

a = 5.7420 Å, b = 6.1486 Å, c = 8.3390 Å
α = 102.03°, β = 90.00°, γ = 90.00°
Last column: nearest neighbours and their distance in Å.
Positions (direct):
F 0.9945 0.4574 0.7867  1 Zr 2.04
F 0.7031 0.7545 0.9748  1 Zr 2.03
F 0.2100 0.1395 0.5269  1 Zr 2.04
F 0.5029 0.3789 0.7816  1 Zr 2.06
F 0.8901 0.4551 0.4779  2 Y 2.19-2.23
F 0.4270 0.9251 0.7688  1 Zr 2.04, 1 Y 2.27
F 0.9270 0.0749 0.2312  1 Zr 2.04, 1 Y 2.27
F 0.7100 0.8605 0.4731  1 Zr 2.04
F 0.3901 0.5449 0.5221  2 Y 2.19-2.23
F 0.0029 0.6211 0.2184  1 Zr 2.06
F 0.2031 0.2455 0.0252  1 Zr 2.03
F 0.9449 0.9580 0.7595  1 Zr 2.05
F 0.4945 0.5426 0.2133  1 Zr 2.04
F 0.4449 0.0420 0.2405  1 Zr 2.05
Zr 0.7069 0.8116 0.2239  6 F 2.03-2.06
Zr 0.2069 0.1884 0.7761  6 F 2.03-2.06
Y 0.6970 0.6550 0.6836  8 F 2.19-2.38
Y 0.1970 0.3450 0.3164  8 F 2.19-2.38

---

# 5
# Zr3ZnF6

A relaxed structure of Zr3ZnF6 (PBE, the Materials Project).

## Properties
E ... -5.8598 eV per atom
SG ... P-1
Magnetization ... 3.148 μB/cell
Energy relative to the elements ... -222 kJ/mol of atoms

a = 6.1476 Å, b = 5.6327 Å, c = 16.0711 Å
α = 115.61°, β = 43.43°, γ = 123.10°
Last column: nearest neighbours and their distance in Å.
Positions (direct):
F 0.0539 0.0493 0.3710  1 Zr 1.97
F 0.9029 0.3421 0.8774  2 Zr 2.15
F 0.5431 0.6354 0.8808  2 Zr 2.14-2.15
F 0.4569 0.3646 0.1192  2 Zr 2.14-2.15
F 0.0971 0.6579 0.1226  2 Zr 2.15
F 0.9461 0.9507 0.6290  1 Zr 1.97
Zr 0.5000 0.5000 0.0000  4 F 2.15
Zr 0.0000 0.5000 0.0000  4 F 2.14-2.15
Zr 0.0000 0.0000 0.5000  2 F 1.97
Zn 0.0000 0.0000 0.0000  4 Zr 2.82

---

# 6
# ZrZnF6

A relaxed structure of ZrZnF6 (PBE, the Materials Project).

## Properties
E ... -5.8204 eV per atom
SG ... Fm-3m
Energy relative to the elements ... -338 kJ/mol of atoms

a = 5.7806 Å, b = 5.7806 Å, c = 5.7806 Å
α = 60.00°, β = 60.00°, γ = 60.00°
Last column: nearest neighbours and their distance in Å.
Positions (direct):
F 0.2494 0.7506 0.7506  1 Zr 2.04, 1 Zn 2.05
F 0.2494 0.7506 0.2494  1 Zr 2.04, 1 Zn 2.05
F 0.7506 0.2494 0.7506  1 Zr 2.04, 1 Zn 2.05
F 0.2494 0.2494 0.7506  1 Zr 2.04, 1 Zn 2.05
F 0.7506 0.2494 0.2494  1 Zr 2.04, 1 Zn 2.05
F 0.7506 0.7506 0.2494  1 Zr 2.04, 1 Zn 2.05
Zn 0.5000 0.5000 0.5000  6 F 2.05
Zr 0.0000 0.0000 0.0000  6 F 2.04

---

# 7
# Fe

A relaxed structure of Fe (PBE, the Materials Project).

## Properties
E ... -8.1906 eV per atom
SG ... P1
Magnetization ... 205.357 μB/cell
Relative energy among the computed polymorphs ... 279 meV per atom
Energy relative to the elements ... 27 kJ/mol of atoms

a = 10.4063 Å, b = 10.7086 Å, c = 10.4560 Å
α = 87.98°, β = 91.19°, γ = 89.51°
Last column: nearest neighbours and their distance in Å.
Positions (direct):
Fe 0.6035 0.2869 0.4778  8 Fe 2.31-2.58
Fe 0.4205 0.9883 0.3851  7 Fe 2.25-2.49
Fe 0.6587 0.3476 0.0203  8 Fe 2.27-2.53
Fe 0.6018 0.4559 0.8204  7 Fe 2.19-2.42
Fe 0.6451 0.0338 0.8734  8 Fe 2.21-2.47
Fe 0.2134 0.8181 0.6197  10 Fe 2.36-2.58
Fe 0.9055 0.2487 0.7671  6 Fe 2.22-2.47
Fe 0.8215 0.2475 0.3725  7 Fe 2.30-2.56
Fe 0.9348 0.1144 0.1488  6 Fe 2.32-2.48
Fe 0.1006 0.9886 0.2704  9 Fe 2.30-2.49
Fe 0.6434 0.2432 0.7857  6 Fe 2.36-2.56
Fe 0.2475 0.8151 0.3110  8 Fe 2.31-2.58
Fe 0.1693 0.6551 0.9605  7 Fe 2.38-2.64
Fe 0.0350 0.2859 0.9619  11 Fe 2.46-2.68
Fe 0.1862 0.0052 0.4755  6 Fe 2.32-2.56
Fe 0.5074 0.7292 0.9593  5 Fe 2.15-2.40
Fe 0.4803 0.3946 0.1308  8 Fe 2.26-2.53
Fe 0.5676 0.9903 0.2179  10 Fe 2.29-2.55
Fe 0.9075 0.9022 0.2002  9 Fe 2.30-2.54
Fe 0.9293 0.4495 0.2933  6 Fe 2.32-2.59
Fe 0.0884 0.8323 0.8280  11 Fe 2.44-2.73
Fe 0.3476 0.8228 0.8153  6 Fe 2.32-2.58
Fe 0.5312 0.1477 0.0388  9 Fe 2.36-2.63
Fe 0.8526 0.8222 0.7381  6 Fe 2.26-2.45
Fe 0.3335 0.7355 0.1064  9 Fe 2.40-2.65
Fe 0.3329 0.3576 0.2966  8 Fe 2.26-2.51
Fe 0.5064 0.6573 0.7400  9 Fe 2.39-2.66
Fe 0.0171 0.6820 0.6611  9 Fe 2.40-2.66
Fe 0.4318 0.0594 0.8328  5 Fe 2.26-2.48
Fe 0.3893 0.4479 0.7375  11 Fe 2.32-2.56
Fe 0.8338 0.4260 0.9049  8 Fe 2.33-2.57
Fe 0.5010 0.2101 0.2774  10 Fe 2.36-2.63
Fe 0.5725 0.8726 0.7282  7 Fe 2.34-2.58
Fe 0.1208 0.3306 0.1760  8 Fe 2.38-2.61
Fe 0.2133 0.4223 0.8968  10 Fe 2.46-2.69
Fe 0.2538 0.1802 0.9011  9 Fe 2.33-2.59
Fe 0.5269 0.4789 0.3648  6 Fe 2.29-2.53
Fe 0.5867 0.8818 0.5031  7 Fe 2.29-2.46
Fe 0.5081 0.7847 0.2802  8 Fe 2.37-2.64
Fe 0.7622 0.6142 0.7072  5 Fe 2.39-2.65
Fe 0.6767 0.6042 0.9386  4 Fe 2.19-2.36
Fe 0.9029 0.0285 0.3925  7 Fe 2.33-2.61
Fe 0.1240 0.2685 0.7353  8 Fe 2.32-2.57
Fe 0.1723 0.4606 0.6171  10 Fe 2.42-2.66
Fe 0.3724 0.3870 0.5063  6 Fe 2.26-2.43
Fe 0.5964 0.6601 0.5058  7 Fe 2.35-2.58
Fe 0.4165 0.1718 0.4837  9 Fe 2.25-2.49
Fe 0.7204 0.6212 0.3121  6 Fe 2.31-2.55
Fe 0.7121 0.8191 0.9006  7 Fe 2.26-2.43
Fe 0.5678 0.4613 0.6040  9 Fe 2.28-2.53
Fe 0.8056 0.1739 0.9596  10 Fe 2.40-2.68
Fe 0.6575 0.0809 0.4040  11 Fe 2.38-2.62
Fe 0.7123 0.1720 0.1895  11 Fe 2.37-2.61
Fe 0.9165 0.6876 0.2146  5 Fe 2.30-2.55
Fe 0.7729 0.3939 0.6814  8 Fe 2.22-2.45
Fe 0.4110 0.5426 0.9468  5 Fe 2.25-2.52
Fe 0.1997 0.0322 0.7235  7 Fe 2.37-2.62
Fe 0.0042 0.9100 0.6028  7 Fe 2.30-2.54
Fe 0.2449 0.6302 0.7498  7 Fe 2.38-2.58
Fe 0.2769 0.5002 0.1206  9 Fe 2.35-2.59
Fe 0.0256 0.8127 0.3979  8 Fe 2.41-2.68
Fe 0.3303 0.9718 0.1727  8 Fe 2.36-2.63
Fe 0.9659 0.5742 0.4691  7 Fe 2.34-2.58
Fe 0.4466 0.3141 0.9084  10 Fe 2.32-2.56
Fe 0.8111 0.7400 0.5160  9 Fe 2.40-2.68
Fe 0.1279 0.6188 0.2393  8 Fe 2.32-2.58
Fe 0.3500 0.6031 0.3226  6 Fe 2.29-2.54
Fe 0.1997 0.2355 0.5200  10 Fe 2.39-2.66
Fe 0.1016 0.8252 0.1069  9 Fe 2.41-2.68
Fe 0.1786 0.6507 0.4761  9 Fe 2.32-2.56
Fe 0.3641 0.2326 0.6944  8 Fe 2.38-2.57
Fe 0.9113 0.6679 0.9217  9 Fe 2.44-2.73
Fe 0.0333 0.0720 0.8734  7 Fe 2.38-2.59
Fe 0.8230 0.0429 0.7610  5 Fe 2.21-2.44
Fe 0.7880 0.5351 0.1077  4 Fe 2.20-2.44
Fe 0.8746 0.3231 0.1256  9 Fe 2.32-2.55
Fe 0.0058 0.4808 0.7768  4 Fe 2.33-2.54
Fe 0.2609 0.1474 0.3036  11 Fe 2.38-2.62
Fe 0.9705 0.3503 0.5449  12 Fe 2.48-2.70
Fe 0.3224 0.2450 0.1012  9 Fe 2.33-2.60
Fe 0.5816 0.0892 0.6329  8 Fe 2.35-2.63
Fe 0.0062 0.1246 0.5955  7 Fe 2.30-2.57
Fe 0.9139 0.9044 0.9665  8 Fe 2.38-2.64
Fe 0.7794 0.9646 0.5662  8 Fe 2.27-2.50
Fe 0.5392 0.5964 0.1475  4 Fe 2.26-2.51
Fe 0.7018 0.7675 0.1219  8 Fe 2.37-2.65
Fe 0.0429 0.2093 0.3520  7 Fe 2.35-2.62
Fe 0.2455 0.9502 0.9577  6 Fe 2.32-2.54
Fe 0.1488 0.4363 0.3863  8 Fe 2.32-2.58
Fe 0.6878 0.3899 0.2493  8 Fe 2.30-2.58
Fe 0.3875 0.7855 0.4838  6 Fe 2.23-2.49
Fe 0.3759 0.5903 0.5651  7 Fe 2.23-2.44
Fe 0.7597 0.4678 0.4695  7 Fe 2.31-2.59
Fe 0.0222 0.5063 0.0536  8 Fe 2.41-2.64
Fe 0.7374 0.8676 0.3335  7 Fe 2.30-2.56
Fe 0.4896 0.9206 0.0115  1 Fe 2.15
Fe 0.7849 0.1926 0.5830  8 Fe 2.30-2.46
Fe 0.7321 0.9844 0.0766  7 Fe 2.29-2.47
Fe 0.1464 0.1002 0.0851  7 Fe 2.30-2.51
Fe 0.3891 0.9767 0.6171  10 Fe 2.35-2.61

---

# 8
# Fe

A relaxed structure of Fe (PBE, the Materials Project).

## Properties
E ... -8.3722 eV per atom
SG ... P6_3/mmc
Relative energy among the computed polymorphs ... 98 meV per atom
Energy relative to the elements ... 9 kJ/mol of atoms

a = 2.4658 Å, b = 2.4658 Å, c = 3.9002 Å
α = 90.00°, β = 90.00°, γ = 120.00°
Last column: nearest neighbours and their distance in Å.
Positions (direct):
Fe 0.3333 0.6667 0.2500  12 Fe 2.41-2.47
Fe 0.6667 0.3333 0.7500  12 Fe 2.41-2.47

---

# 9
# Fe

A relaxed structure of Fe (PBE, the Materials Project).

## Properties
E ... -8.3709 eV per atom
Magnetization ... 0.000 μB/cell
Relative energy among the computed polymorphs ... 99 meV per atom
Energy relative to the elements ... 10 kJ/mol of atoms

a = 2.4228 Å, b = 2.4228 Å, c = 3.7097 Å
α = 89.97°, β = 90.03°, γ = 90.87°
Last column: nearest neighbours and their distance in Å.
Positions (direct):
Fe 0.5000 0.5000 0.5000  12 Fe 2.42-2.53
Fe 0.0000 0.0000 0.0000  12 Fe 2.42-2.53

---

# 10
# Fe

A relaxed structure of Fe (PBE, the Materials Project).

## Properties
E ... -8.4530 eV per atom
Magnetization ... 8.810 μB/cell
Relative energy among the computed polymorphs ... 17 meV per atom
Energy relative to the elements ... 2 kJ/mol of atoms

a = 2.4527 Å, b = 2.4527 Å, c = 7.8604 Å
α = 90.00°, β = 90.00°, γ = 104.69°
Last column: nearest neighbours and their distance in Å.
Positions (direct):
Fe 0.5000 0.5000 0.2501  8 Fe 2.45-2.47
Fe 0.0000 0.0000 0.4998  8 Fe 2.45-2.47
Fe 0.0000 0.0000 0.9999  8 Fe 2.45-2.47
Fe 0.5000 0.5000 0.7502  8 Fe 2.45-2.47

---

# 11
# Fe

A relaxed structure of Fe (PBE, the Materials Project).

## Properties
E ... -7.7086 eV per atom
SG ... Pm-3m
Magnetization ... 2.853 μB/cell
Relative energy among the computed polymorphs ... 761 meV per atom
Energy relative to the elements ... 73 kJ/mol of atoms

a = 2.3757 Å, b = 2.3757 Å, c = 2.3757 Å
α = 90.00°, β = 90.00°, γ = 90.00°
Last column: nearest neighbours and their distance in Å.
Positions (direct):
Fe 0.5000 0.5000 0.5000  6 Fe 2.38

---

# 12
# Fe

A relaxed structure of Fe (PBE, the Materials Project).

## Properties
E ... -8.4150 eV per atom
Relative energy among the computed polymorphs ... 55 meV per atom
Energy relative to the elements ... 5 kJ/mol of atoms

a = 2.4420 Å, b = 3.9766 Å, c = 4.3876 Å
α = 90.02°, β = 90.05°, γ = 90.13°
Last column: nearest neighbours and their distance in Å.
Positions (direct):
Fe 0.8741 0.5000 0.2839  12 Fe 2.43-2.51
Fe 0.3741 0.5000 0.7838  12 Fe 2.43-2.51
Fe 0.8759 0.0000 0.9662  12 Fe 2.43-2.51
Fe 0.3759 0.0000 0.4661  12 Fe 2.43-2.51